# Na6Mg2Zn2SiS5O24 GGA-PBE optimized geometry
# * energy with MP2020 corrections: -6.20 eV/atom
data_Na6Mg2Zn2SiS5O24
_symmetry_space_group_name_H-M 'P 1'
_symmetry_Int_Tables_number 1
_cell_length_a 8.986
_cell_length_b 9.000
_cell_length_c 21.987
_cell_angle_alpha 89.52
_cell_angle_beta 89.21
_cell_angle_gamma 60.46
loop_
_symmetry_equiv_pos_as_xyz
'x,y,z'
loop_
_atom_site_label
_atom_site_type_symbol
_atom_site_fract_x
_atom_site_fract_y
_atom_site_fract_z
_atom_site_occupancy
Na1 Na 0.000 0.000 0.000 1
Na2 Na 0.000 0.632 0.257 1
Na3 Na 0.011 0.653 0.755 1
Na4 Na 0.030 0.285 0.845 1
Na5 Na 0.042 0.925 0.340 1
Na6 Na 0.296 0.673 0.840 1
Na7 Na 0.305 0.312 0.335 1
Na8 Na 0.334 0.968 0.924 1
Na9 Na 0.338 0.599 0.180 1
Na10 Na 0.349 0.944 0.423 1
Na11 Na 0.381 0.629 0.503 1
Na12 Na 0.642 0.985 0.505 1
Na13 Na 0.659 0.665 0.349 1
Na14 Na 0.669 0.297 0.593 1
Na15 Na 0.670 0.298 0.090 1
Na16 Na 0.686 0.940 0.838 1
Na17 Na 0.706 0.597 0.667 1
Na18 Na 0.993 0.279 0.512 1
Mg1 Mg 0.000 0.629 0.106 1
Mg2 Mg 0.002 0.635 0.910 1
Mg3 Mg 0.326 0.967 0.772 1
Mg4 Mg 0.340 0.968 0.074 1
Mg5 Mg 0.661 0.306 0.240 1
Mg6 Mg 0.675 0.296 0.940 1
Zn1 Zn 0.002 0.628 0.604 1
Zn2 Zn 0.003 0.635 0.410 1
Zn3 Zn 0.340 0.955 0.269 1
Zn4 Zn 0.348 0.954 0.577 1
Zn5 Zn 0.662 0.330 0.436 1
Zn6 Zn 0.682 0.275 0.745 1
Si1 Si 0.363 0.603 0.339 1
Si2 Si 0.707 0.632 0.508 1
Si3 Si 0.971 0.997 0.844 1
S1 S 0.002 0.336 0.007 1
S2 S 0.003 0.932 0.508 1
S3 S 0.035 0.966 0.172 1
S4 S 0.041 0.264 0.674 1
S5 S 0.302 0.332 0.508 1
S6 S 0.303 0.630 0.009 1
S7 S 0.336 0.261 0.174 1
S8 S 0.338 0.661 0.675 1
S9 S 0.375 0.300 0.841 1
S10 S 0.632 0.970 0.675 1
S11 S 0.637 0.667 0.173 1
S12 S 0.668 0.010 0.341 1
S13 S 0.670 0.594 0.839 1
S14 S 0.704 0.929 0.007 1
S15 S 0.966 0.294 0.339 1
O1 O 0.020 0.415 0.950 1
O2 O 0.023 0.806 0.167 1
O3 O 0.027 0.436 0.673 1
O4 O 0.037 0.829 0.451 1
O5 O 0.123 0.986 0.117 1
O6 O 0.126 0.166 0.617 1
O7 O 0.138 0.174 0.729 1
O8 O 0.139 0.940 0.228 1
O9 O 0.142 0.148 0.332 1
O10 O 0.151 0.962 0.514 1
O11 O 0.155 0.159 0.011 1
O12 O 0.163 0.978 0.836 1
O13 O 0.170 0.622 0.346 1
O14 O 0.183 0.643 0.670 1
O15 O 0.185 0.438 0.170 1
O16 O 0.196 0.653 0.954 1
O17 O 0.197 0.444 0.850 1
O18 O 0.206 0.407 0.450 1
O19 O 0.219 0.611 0.064 1
O20 O 0.221 0.449 0.560 1
O21 O 0.306 0.165 0.515 1
O22 O 0.313 0.792 0.013 1
O23 O 0.317 0.184 0.232 1
O24 O 0.321 0.765 0.729 1
O25 O 0.344 0.796 0.333 1
O26 O 0.349 0.155 0.122 1
O27 O 0.361 0.743 0.618 1
O28 O 0.367 0.139 0.834 1
O29 O 0.443 0.345 0.786 1
O30 O 0.451 0.482 0.280 1
O31 O 0.476 0.480 0.003 1
O32 O 0.477 0.527 0.401 1
O33 O 0.481 0.299 0.504 1
O34 O 0.483 0.276 0.895 1
O35 O 0.493 0.280 0.175 1
O36 O 0.497 0.492 0.679 1
O37 O 0.508 0.998 0.336 1
O38 O 0.513 0.803 0.512 1
O39 O 0.519 0.761 0.123 1
O40 O 0.523 0.772 0.834 1
O41 O 0.532 0.947 0.015 1
O42 O 0.538 0.953 0.728 1
O43 O 0.539 0.980 0.617 1
O44 O 0.568 0.761 0.232 1
O45 O 0.633 0.512 0.891 1
O46 O 0.647 0.126 0.677 1
O47 O 0.649 0.496 0.177 1
O48 O 0.655 0.102 0.399 1
O49 O 0.689 0.458 0.506 1
O50 O 0.690 0.101 0.004 1
O51 O 0.691 0.100 0.288 1
O52 O 0.695 0.497 0.782 1
O53 O 0.781 0.833 0.950 1
O54 O 0.795 0.664 0.447 1
O55 O 0.803 0.811 0.674 1
O56 O 0.810 0.647 0.165 1
O57 O 0.818 0.835 0.340 1
O58 O 0.819 0.838 0.059 1
O59 O 0.821 0.602 0.569 1
O60 O 0.829 0.604 0.848 1
O61 O 0.839 0.080 0.787 1
O62 O 0.843 0.099 0.503 1
O63 O 0.846 0.319 0.007 1
O64 O 0.856 0.309 0.287 1
O65 O 0.863 0.118 0.177 1
O66 O 0.863 0.289 0.676 1
O67 O 0.889 0.117 0.904 1
O68 O 0.899 0.262 0.397 1
O69 O 0.974 0.455 0.341 1
O70 O 0.983 0.842 0.561 1
O71 O 0.992 0.440 0.060 1
O72 O 0.997 0.802 0.849 1



# KPt3O4 GGA-PBE optimized geometry
# * energy with MP2020 corrections: -5.85 eV/atom
data_KPt3O4
_symmetry_space_group_name_H-M 'P m -3 n'
_symmetry_Int_Tables_number 223
_symmetry_space_group_name_Hall '-P 4n 2 3'
_cell_length_a 5.861
_cell_length_b 5.861
_cell_length_c 5.861
_cell_angle_alpha 90.00
_cell_angle_beta 90.00
_cell_angle_gamma 90.00
loop_
_atom_site_label
_atom_site_type_symbol
_atom_site_fract_x
_atom_site_fract_y
_atom_site_fract_z
_atom_site_occupancy
K1 K 0.000 0.000 0.000 1
Pt1 Pt 0.000 0.250 0.500 1
O1 O 0.250 0.250 0.250 1



# ErMnNi4 GGA-PBE optimized geometry
# * raw total energy: -6.443 eV/atom
data_ErMnNi4
_symmetry_space_group_name_H-M 'F -4 3 m'
_symmetry_Int_Tables_number 216
_symmetry_space_group_name_Hall 'F -4 2 3'
_cell_length_a 6.892
_cell_length_b 6.892
_cell_length_c 6.892
_cell_angle_alpha 90.00
_cell_angle_beta 90.00
_cell_angle_gamma 90.00
loop_
_atom_site_label
_atom_site_type_symbol
_atom_site_fract_x
_atom_site_fract_y
_atom_site_fract_z
_atom_site_occupancy
Er1 Er 0.000 0.000 0.000 1
Mn1 Mn 0.250 0.250 0.750 1
Ni1 Ni 0.124 0.124 0.376 1



# SrTiO3 GGA-PBE optimized geometry
# * energy with MP2020 corrections: -8.44 eV/atom
data_SrTiO3
_symmetry_space_group_name_H-M 'P m -3 m'
_symmetry_Int_Tables_number 221
_symmetry_space_group_name_Hall '-P 4 2 3'
_cell_length_a 3.945
_cell_length_b 3.945
_cell_length_c 3.945
_cell_angle_alpha 90.00
_cell_angle_beta 90.00
_cell_angle_gamma 90.00
loop_
_atom_site_label
_atom_site_type_symbol
_atom_site_fract_x
_atom_site_fract_y
_atom_site_fract_z
_atom_site_occupancy
Sr1 Sr 0.000 0.000 0.000 1
Ti1 Ti 0.500 0.500 0.500 1
O1 O 0.000 0.500 0.500 1



# Zn2NiN2 GGA-PBE optimized geometry
# * energy with MP2020 corrections: -4.93 eV/atom
data_Zn2NiN2
_symmetry_space_group_name_H-M 'C 1 2/m 1'
_symmetry_Int_Tables_number 12
_cell_length_a 11.414
_cell_length_b 3.603
_cell_length_c 7.262
_cell_angle_alpha 90.00
_cell_angle_beta 122.73
_cell_angle_gamma 90.00
loop_
_symmetry_equiv_pos_as_xyz
'x,y,z'
'-x,-y,-z'
'-x,y,-z'
'x,-y,z'
'x+1/2,y+1/2,z'
'-x+1/2,-y+1/2,-z'
'-x+1/2,y+1/2,-z'
'x+1/2,-y+1/2,z'
loop_
_atom_site_label
_atom_site_type_symbol
_atom_site_fract_x
_atom_site_fract_y
_atom_site_fract_z
_atom_site_occupancy
Zn1 Zn 0.088 0.000 0.295 1
Zn2 Zn 0.159 0.500 0.019 1
Ni1 Ni 0.119 0.500 0.617 1
N1 N 0.023 0.500 0.317 1
N2 N 0.194 0.000 0.146 1



# BaCaSmNbO6 GGA-PBE optimized geometry
# * energy with MP2020 corrections: -8.12 eV/atom
# * excess energy over the best structure of this formula in the dataset: 102 meV per atom
data_BaCaSmNbO6
_symmetry_space_group_name_H-M 'F -4 3 m'
_symmetry_Int_Tables_number 216
_symmetry_space_group_name_Hall 'F -4 2 3'
_cell_length_a 8.576
_cell_length_b 8.576
_cell_length_c 8.576
_cell_angle_alpha 90.00
_cell_angle_beta 90.00
_cell_angle_gamma 90.00
loop_
_atom_site_label
_atom_site_type_symbol
_atom_site_fract_x
_atom_site_fract_y
_atom_site_fract_z
_atom_site_occupancy
Ba1 Ba 0.000 0.000 0.000 1
Ca1 Ca 0.000 0.000 0.500 1
Sm1 Sm 0.250 0.250 0.250 1
Nb1 Nb 0.250 0.250 0.750 1
O1 O 0.016 0.250 0.750 1